Na4Ni2C4SO16 (PBE+U, relaxed); V = 12.7 Å³/atom; symmetry = P1 (1); E_tot = -6.286 eV/atom; energy of formation from the pure elements = -1.80 eV per atom
1.0
9.800 0.000 0.000
-0.032 9.843 0.000
-4.839 -4.898 7.085
Na Ni C S O
8 4 8 2 32
Cartesian
0.000 0.000 0.000 Na
-2.007 -2.028 2.947 Na
0.759 5.641 3.502 Na
0.798 0.734 6.901 Na
0.749 4.973 7.004 Na
4.820 0.102 3.508 Na
4.839 5.621 3.503 Na
4.920 0.757 7.005 Na
-2.103 5.331 5.246 Ni
0.347 2.850 1.696 Ni
-2.071 0.407 5.243 Ni
5.242 2.870 1.687 Ni
-3.833 -2.057 5.733 C
-0.321 2.877 4.728 C
-0.326 -2.057 5.749 C
2.801 1.088 1.188 C
2.791 4.638 1.190 C
7.683 1.069 2.194 C
5.953 2.864 4.726 C
7.696 4.657 2.202 C
2.834 -2.074 3.476 S
2.834 2.871 7.026 S
-3.777 -0.774 5.526 O
-4.424 -2.535 6.768 O
-3.320 2.036 5.569 O
-0.849 1.185 2.003 O
-1.646 5.375 3.190 O
-0.912 -1.266 4.922 O
2.335 0.426 0.189 O
1.513 4.577 1.404 O
0.311 3.332 3.711 O
-0.419 1.613 4.943 O
-0.827 3.713 5.580 O
2.005 1.686 1.992 O
3.260 5.264 0.172 O
1.576 7.774 2.617 O
-0.357 -3.344 5.532 O
0.313 -1.586 6.761 O
3.608 4.104 2.041 O
4.080 1.130 1.415 O
2.800 -0.853 4.339 O
2.798 6.535 4.314 O
4.043 7.787 2.648 O
6.452 7.763 0.822 O
2.830 4.107 6.200 O
2.851 1.639 6.195 O
6.855 1.609 1.366 O
6.418 4.573 2.007 O
5.330 2.401 3.699 O
7.242 0.348 3.178 O
6.015 4.139 4.949 O
8.516 4.090 1.386 O
8.898 7.768 0.821 O
6.477 -2.874 4.853 O